MgZn2CuWO6: optimized geometry, GGA+U.

Cell lengths 5.2832, 5.3364, 5.9978 Å; angles 116.00, 90.26, 118.54 degrees
Last column: nearest neighbours and their distance in Å.
Atoms (fractional coordinates):
Mg (0.0000, 0.0000, 0.0000)  5 O 2.04-2.22
Zn (0.3949, 0.8014, 0.1971)  3 O 1.94-1.95
Zn (0.8180, 0.6336, 0.4549)  6 O 2.06-2.20
Cu (0.2608, 0.4713, 0.6787)  3 O 1.99-2.01
W (0.6375, 0.2796, 0.8948)  6 O 1.91-2.12
O (0.0122, 0.4346, 0.1589)  2 Zn 1.95-2.18, 1 Mg 2.05, 1 W 2.09
O (0.2537, 0.0938, 0.6841)  1 W 1.91, 1 Cu 2.01
O (0.4269, 0.1601, 0.1639)  1 Zn 1.94, 1 Mg 2.05, 1 W 2.12
O (0.6373, 0.8584, 0.7138)  1 Cu 1.99, 1 W 2.02, 1 Zn 2.06, 1 Mg 2.15
O (0.7348, 0.7472, 0.1656)  2 Zn 1.95-2.18, 1 Mg 2.04, 1 W 2.08
O (0.9011, 0.5027, 0.7170)  1 Cu 1.99, 1 W 2.01, 1 Zn 2.10, 1 Mg 2.22

Calculated values
Space group = P1 (1)
Formation energy from the elements = -1859.5 meV per atom
Calculated volume = 11.68 A^3/atom